UH18C4Se2N2O11 after structural relaxation, computed with GGA-PBE.

Unit cell a=7.629 b=12.424 c=17.468 alpha=90.00 beta=90.00 gamma=90.00
Fractional coordinates of all 152 atoms:
H  0.624  0.351  0.120
U  0.112  0.650  0.243
H  0.584  0.349  0.980
H  0.343  0.133  0.892
O  0.911  0.188  0.838
C  0.836  0.216  0.575
H  0.347  0.602  0.886
O  0.638  0.848  0.653
H  0.084  0.151  0.020
O  0.627  0.467  0.754
O  0.917  0.874  0.388
O  0.587  0.850  0.860
H  0.865  0.075  0.636
H  0.476  0.285  0.439
H  0.784  0.759  0.516
H  0.738  0.756  0.026
O  0.590  0.484  0.339
O  0.234  0.827  0.239
O  0.262  0.527  0.737
H  0.773  0.948  0.547
H  0.312  0.233  0.375
U  0.388  0.350  0.743
H  0.812  0.267  0.625
H  0.722  0.536  0.135
N  0.282  0.396  0.406
H  0.780  0.533  0.035
H  0.762  0.244  0.526
O  0.055  0.350  0.744
Se  0.712  0.560  0.815
O  0.869  0.768  0.250
C  0.707  0.970  0.027
O  0.589  0.812  0.338
H  0.921  0.039  0.499
H  0.220  0.033  0.465
H  0.157  0.867  0.392
N  0.781  0.618  0.584
Se  0.713  0.143  0.814
O  0.089  0.688  0.662
H  0.416  0.849  0.520
H  0.284  0.741  0.484
O  0.913  0.150  0.360
H  0.684  0.645  0.472
O  0.910  0.516  0.839
Se  0.213  0.357  0.186
H  0.720  0.467  0.535
H  0.727  0.052  0.047
Se  0.288  0.060  0.685
N  0.719  0.382  0.084
N  0.718  0.896  0.094
N  0.281  0.882  0.416
N  0.782  0.104  0.594
H  0.778  0.464  0.635
O  0.373  0.967  0.746
H  0.309  0.553  0.014
O  0.417  0.626  0.612
H  0.216  0.259  0.984
H  0.004  0.287  0.771
H  0.653  0.102  0.614
O  0.138  0.652  0.347
O  0.862  0.152  0.153
O  0.410  0.984  0.161
H  0.024  0.715  0.939
H  0.135  0.575  0.864
H  0.635  0.925  0.136
O  0.238  0.473  0.237
H  0.847  0.898  0.114
H  0.184  0.855  0.528
O  0.090  0.016  0.661
H  0.495  0.586  0.270
C  0.292  0.828  0.492
H  0.943  0.484  0.563
O  0.445  0.650  0.244
C  0.193  0.000  0.921
C  0.307  0.000  0.421
U  0.888  0.150  0.257
H  0.876  0.649  0.620
H  0.222  0.964  0.865
O  0.583  0.126  0.888
H  0.079  0.539  0.001
O  0.083  0.374  0.112
H  0.916  0.651  0.480
C  0.708  0.328  0.008
H  0.843  0.367  0.108
H  0.557  0.516  0.063
H  0.504  0.213  0.229
O  0.766  0.327  0.261
O  0.411  0.312  0.162
H  0.005  0.414  0.770
H  0.716  0.241  0.016
H  0.124  0.149  0.880
C  0.164  0.716  0.925
O  0.266  0.173  0.739
O  0.873  0.533  0.254
H  0.057  0.984  0.937
O  0.762  0.973  0.263
H  0.278  0.036  0.365
N  0.219  0.118  0.916
C  0.693  0.500  0.079
H  0.657  0.633  0.608
H  0.262  0.256  0.474
O  0.916  0.420  0.390
H  0.191  0.447  0.514
H  0.238  0.744  0.974
H  0.365  0.425  0.364
H  0.524  0.785  0.061
C  0.793  0.030  0.527
H  0.227  0.448  0.953
O  0.416  0.080  0.610
H  0.188  0.767  0.875
C  0.336  0.284  0.425
H  0.443  0.016  0.437
O  0.734  0.673  0.761
O  0.584  0.580  0.890
O  0.131  0.268  0.250
O  0.127  0.033  0.246
H  0.996  0.787  0.729
U  0.612  0.850  0.757
H  0.280  0.967  0.965
H  0.316  0.145  0.028
O  0.369  0.732  0.750
O  0.413  0.350  0.640
H  0.505  0.086  0.230
H  0.995  0.914  0.730
H  0.809  0.947  0.986
N  0.218  0.604  0.906
H  0.376  0.851  0.380
C  0.208  0.172  0.992
C  0.807  0.500  0.579
H  0.816  0.355  0.972
O  0.087  0.650  0.140
O  0.084  0.920  0.110
O  0.945  0.850  0.756
H  0.421  0.461  0.501
C  0.664  0.784  0.075
Se  0.287  0.643  0.686
C  0.293  0.470  0.473
C  0.792  0.672  0.508
H  0.153  0.398  0.386
Se  0.212  0.940  0.185
O  0.555  0.150  0.256
O  0.362  0.348  0.847
O  0.631  0.232  0.750
H  0.579  0.961  0.999
H  0.976  0.215  0.561
Se  0.787  0.857  0.314
H  0.273  0.552  0.453
Se  0.788  0.440  0.315
H  0.691  0.053  0.486
C  0.207  0.530  0.973
O  0.738  0.027  0.763
H  0.496  0.713  0.271
H  0.688  0.733  0.125

Results
crystal system: orthorhombic
energy with MP2020 corrections: -5.8714 eV/atom
space group: P2_12_12_1
energy relative to the elements: -3449.1 kJ/mol of formula units
total magnetization: 0.0008 μB/atom
calculated density: 2672 kg/m³

---

UH10CSe2N4O8 after structural relaxation, computed with GGA-PBE.

Unit cell a=7.152 b=9.572 c=9.722 alpha=88.46 beta=109.60 gamma=103.50
Fractional coordinates of all 52 atoms:
O  0.885  0.422  0.112
O  0.115  0.578  0.888
O  0.351  0.094  0.031
H  0.733  0.804  0.493
H  0.262  0.989  0.383
O  0.567  0.198  0.549
O  0.074  0.249  0.907
O  0.564  0.617  0.950
O  0.649  0.906  0.969
O  0.639  0.631  0.275
H  0.738  0.011  0.617
O  0.288  0.660  0.656
H  0.958  0.743  0.533
O  0.055  0.626  0.376
N  0.174  0.926  0.745
H  0.553  0.210  0.907
H  0.042  0.257  0.467
H  0.757  0.152  0.269
H  0.204  0.764  0.094
Se  0.259  0.229  0.072
N  0.117  0.187  0.445
U  0.764  0.529  0.192
Se  0.689  0.363  0.517
H  0.243  0.848  0.731
H  0.447  0.790  0.093
H  0.355  0.931  0.116
N  0.883  0.813  0.555
O  0.712  0.340  0.344
H  0.267  0.196  0.507
O  0.361  0.369  0.725
N  0.353  0.823  0.139
H  0.238  0.991  0.839
U  0.236  0.471  0.808
O  0.945  0.374  0.624
C  0.978  0.915  0.663
Se  0.311  0.637  0.483
H  0.044  0.904  0.240
N  0.826  0.074  0.255
O  0.926  0.751  0.093
H  0.956  0.096  0.760
H  0.796  0.236  0.906
O  0.433  0.802  0.451
C  0.022  0.085  0.337
H  0.645  0.069  0.884
N  0.647  0.177  0.861
H  0.402  0.811  0.252
N  0.123  0.993  0.309
H  0.598  0.189  0.748
Se  0.741  0.771  0.928
O  0.436  0.383  0.050
N  0.877  0.007  0.691
H  0.762  0.009  0.161

Results
crystal system: triclinic
energy with MP2020 corrections: -6.3421 eV/atom
space group: P-1
energy relative to the elements: -2945.2 kJ/mol of formula units
total magnetization: 0.0000 μB/atom
calculated density: 3285 kg/m³

---

Zn3H24C4Se5N12O15 after structural relaxation, computed with GGA-PBE.

Unit cell a=9.089 b=15.522 c=20.955 alpha=90.00 beta=90.00 gamma=90.00
Fractional coordinates of all 252 atoms:
Zn  0.081  0.750  0.000
H  0.176  0.744  0.694
C  0.990  0.738  0.750
H  0.615  0.505  0.682
H  0.392  0.412  0.126
O  0.676  0.717  0.120
H  0.812  0.420  0.810
H  0.392  0.088  0.626
H  0.615  0.505  0.818
Se  0.331  0.602  0.513
Se  0.212  0.343  0.930
H  0.835  0.864  0.082
H  0.991  0.253  0.152
N  0.876  0.924  0.092
H  0.385  0.495  0.318
H  0.798  0.587  0.293
H  0.608  0.912  0.126
O  0.174  0.650  0.957
N  0.874  0.039  0.162
H  0.991  0.247  0.652
H  0.165  0.364  0.082
Zn  0.535  0.261  0.901
N  0.669  0.951  0.154
N  0.124  0.076  0.592
Se  0.331  0.898  0.013
H  0.202  0.413  0.793
N  0.842  0.767  0.250
Se  0.669  0.102  0.987
H  0.812  0.080  0.190
H  0.720  0.027  0.654
H  0.385  0.495  0.182
H  0.986  0.930  0.085
H  0.976  0.442  0.854
O  0.528  0.353  0.442
H  0.214  0.261  0.208
H  0.798  0.913  0.707
N  0.937  0.261  0.305
N  0.937  0.261  0.195
C  0.193  0.472  0.364
H  0.824  0.244  0.694
N  0.126  0.539  0.162
O  0.472  0.853  0.442
O  0.653  0.353  0.561
O  0.324  0.283  0.880
Zn  0.465  0.761  0.901
H  0.165  0.136  0.918
N  0.681  0.443  0.194
O  0.618  0.257  0.313
H  0.655  0.121  0.807
Se  0.788  0.843  0.930
O  0.653  0.353  0.939
H  0.385  0.005  0.682
C  0.010  0.262  0.250
O  0.653  0.147  0.061
Se  0.788  0.657  0.070
Se  0.212  0.343  0.570
H  0.655  0.379  0.307
C  0.288  0.518  0.750
N  0.063  0.739  0.695
O  0.358  0.604  0.250
H  0.014  0.430  0.415
H  0.608  0.912  0.374
H  0.608  0.588  0.626
Se  0.212  0.157  0.430
C  0.193  0.028  0.636
H  0.835  0.864  0.418
H  0.786  0.761  0.208
H  0.345  0.879  0.193
Zn  0.081  0.750  0.500
H  0.202  0.087  0.293
H  0.345  0.621  0.807
H  0.014  0.070  0.585
H  0.188  0.580  0.190
Zn  0.465  0.739  0.401
H  0.976  0.058  0.146
O  0.057  0.223  0.072
H  0.392  0.088  0.874
H  0.798  0.587  0.207
H  0.812  0.080  0.310
N  0.124  0.076  0.908
H  0.014  0.070  0.915
H  0.188  0.580  0.310
N  0.063  0.739  0.805
O  0.838  0.572  0.117
C  0.288  0.982  0.250
H  0.835  0.636  0.918
O  0.324  0.283  0.620
N  0.669  0.951  0.346
O  0.618  0.257  0.187
N  0.126  0.961  0.662
O  0.528  0.147  0.558
N  0.669  0.549  0.654
N  0.063  0.761  0.305
O  0.943  0.723  0.428
H  0.986  0.570  0.585
H  0.214  0.261  0.292
N  0.319  0.943  0.306
N  0.124  0.424  0.408
N  0.158  0.267  0.250
Se  0.541  0.196  0.250
H  0.786  0.739  0.792
O  0.826  0.350  0.457
N  0.158  0.233  0.750
O  0.838  0.572  0.383
N  0.874  0.461  0.662
Se  0.459  0.696  0.250
Zn  0.535  0.261  0.599
H  0.009  0.753  0.348
O  0.642  0.104  0.250
H  0.608  0.588  0.874
H  0.345  0.879  0.307
N  0.681  0.057  0.806
O  0.382  0.757  0.187
Se  0.541  0.304  0.750
N  0.937  0.239  0.695
O  0.347  0.647  0.061
Zn  0.535  0.239  0.099
H  0.720  0.473  0.346
Zn  0.919  0.250  0.000
O  0.528  0.353  0.058
C  0.990  0.762  0.250
N  0.937  0.239  0.805
O  0.943  0.777  0.572
H  0.720  0.027  0.846
H  0.655  0.121  0.693
H  0.024  0.942  0.854
H  0.991  0.253  0.348
N  0.231  0.061  0.250
O  0.057  0.223  0.428
O  0.162  0.072  0.383
Se  0.669  0.398  0.487
O  0.618  0.243  0.813
O  0.358  0.896  0.750
H  0.786  0.761  0.292
O  0.838  0.928  0.883
H  0.009  0.753  0.152
H  0.014  0.430  0.085
H  0.655  0.379  0.193
H  0.786  0.739  0.708
Se  0.459  0.804  0.750
H  0.280  0.973  0.346
O  0.382  0.743  0.687
O  0.057  0.277  0.572
H  0.280  0.527  0.846
H  0.176  0.756  0.306
H  0.280  0.973  0.154
Se  0.788  0.657  0.430
O  0.324  0.217  0.380
H  0.824  0.256  0.306
H  0.798  0.913  0.793
N  0.331  0.049  0.654
C  0.807  0.528  0.864
N  0.331  0.049  0.846
H  0.720  0.473  0.154
O  0.676  0.717  0.380
H  0.835  0.636  0.582
O  0.653  0.147  0.439
H  0.615  0.995  0.182
H  0.202  0.087  0.207
O  0.347  0.647  0.439
N  0.769  0.561  0.250
N  0.681  0.057  0.694
H  0.009  0.747  0.848
H  0.345  0.621  0.693
H  0.214  0.239  0.708
N  0.876  0.924  0.408
H  0.202  0.413  0.707
N  0.124  0.424  0.092
N  0.876  0.576  0.592
H  0.976  0.442  0.646
H  0.824  0.256  0.194
H  0.392  0.412  0.374
O  0.382  0.743  0.813
O  0.174  0.850  0.457
O  0.057  0.277  0.928
O  0.943  0.723  0.072
O  0.162  0.072  0.117
C  0.193  0.472  0.136
O  0.174  0.650  0.543
H  0.280  0.527  0.654
N  0.063  0.761  0.195
Zn  0.465  0.761  0.599
H  0.824  0.244  0.806
O  0.618  0.243  0.687
H  0.024  0.558  0.354
O  0.676  0.783  0.880
C  0.807  0.972  0.136
N  0.669  0.549  0.846
O  0.347  0.853  0.561
N  0.126  0.961  0.838
O  0.528  0.147  0.942
Zn  0.465  0.739  0.099
H  0.991  0.247  0.848
O  0.382  0.757  0.313
Se  0.788  0.843  0.570
H  0.986  0.570  0.915
O  0.162  0.428  0.617
O  0.826  0.350  0.043
H  0.176  0.744  0.806
H  0.214  0.239  0.792
Se  0.669  0.398  0.013
O  0.324  0.217  0.120
Zn  0.919  0.250  0.500
O  0.838  0.928  0.617
C  0.712  0.482  0.250
H  0.009  0.747  0.652
C  0.193  0.028  0.864
H  0.024  0.942  0.646
C  0.807  0.528  0.636
H  0.385  0.005  0.818
Se  0.331  0.898  0.487
H  0.812  0.420  0.690
C  0.010  0.238  0.750
H  0.176  0.756  0.194
N  0.319  0.557  0.806
Se  0.669  0.102  0.513
N  0.876  0.576  0.908
O  0.472  0.647  0.558
O  0.174  0.850  0.043
H  0.165  0.364  0.418
N  0.231  0.439  0.750
H  0.976  0.058  0.354
N  0.874  0.039  0.338
N  0.319  0.557  0.694
O  0.826  0.150  0.957
O  0.642  0.396  0.750
O  0.472  0.647  0.942
O  0.676  0.783  0.620
C  0.807  0.972  0.364
H  0.615  0.995  0.318
N  0.331  0.451  0.154
O  0.943  0.777  0.928
H  0.024  0.558  0.146
C  0.712  0.018  0.750
N  0.331  0.451  0.346
Se  0.212  0.157  0.070
O  0.347  0.853  0.939
O  0.162  0.428  0.883
N  0.681  0.443  0.306
Se  0.331  0.602  0.987
N  0.319  0.943  0.194
O  0.826  0.150  0.543
O  0.472  0.853  0.058
H  0.188  0.920  0.810
N  0.126  0.539  0.338
N  0.874  0.461  0.838
N  0.769  0.939  0.750
H  0.986  0.930  0.415
H  0.188  0.920  0.690
Zn  0.535  0.239  0.401
N  0.842  0.733  0.750
H  0.165  0.136  0.582

Results
crystal system: orthorhombic
energy with MP2020 corrections: -5.7547 eV/atom
space group: Pbcm
energy relative to the elements: -4698.0 kJ/mol of formula units
total magnetization: 0.0000 μB/atom
calculated density: 2407 kg/m³